# 1
Li2FeP2O7 PBE with a Hubbard U relaxed; total energy = -6.767 eV/atom; ΔE to the lowest computed polymorph = 27 meV/atom; DFT formation energy = -2543 meV/atom; space-group type = P-1
1.0
6.544 0.000 0.000
-2.251 8.666 0.000
-2.995 -3.444 9.814
Li Fe P O
8 4 8 28
direct
0.041 0.259 0.471
0.043 0.260 0.971
0.334 0.541 0.873
0.335 0.540 0.373
0.665 0.460 0.627
0.666 0.459 0.127
0.957 0.740 0.029
0.959 0.741 0.529
0.260 0.865 0.880
0.261 0.866 0.380
0.739 0.134 0.620
0.740 0.135 0.120
0.252 0.101 0.669
0.252 0.102 0.169
0.329 0.626 0.122
0.329 0.626 0.621
0.671 0.374 0.379
0.671 0.374 0.878
0.748 0.898 0.831
0.748 0.899 0.331
0.052 0.154 0.107
0.053 0.155 0.609
0.183 0.950 0.709
0.186 0.952 0.211
0.220 0.639 0.730
0.222 0.639 0.231
0.225 0.682 0.004
0.230 0.686 0.505
0.336 0.454 0.562
0.340 0.455 0.065
0.390 0.085 0.574
0.391 0.086 0.074
0.404 0.260 0.305
0.406 0.256 0.806
0.594 0.744 0.194
0.596 0.740 0.695
0.609 0.914 0.926
0.610 0.915 0.426
0.660 0.545 0.935
0.664 0.546 0.438
0.770 0.314 0.495
0.775 0.318 0.996
0.778 0.361 0.769
0.780 0.361 0.270
0.814 0.048 0.789
0.817 0.050 0.291
0.947 0.845 0.391
0.948 0.846 0.893

# 2
LiFePO4 PBE with a Hubbard U relaxed; total energy = -6.778 eV/atom; ΔE to the lowest computed polymorph = 71 meV/atom; DFT formation energy = -2409 meV/atom; space-group type = P2_1/c
1.0
7.446 0.000 0.000
0.000 4.797 0.000
-0.315 0.000 17.977
Li Fe P O
8 8 8 32
direct
0.141 0.223 0.227
0.141 0.277 0.727
0.338 0.724 0.982
0.338 0.776 0.482
0.662 0.224 0.518
0.662 0.276 0.018
0.859 0.723 0.273
0.859 0.777 0.773
0.033 0.243 0.900
0.033 0.257 0.400
0.493 0.667 0.169
0.493 0.833 0.669
0.507 0.167 0.331
0.507 0.333 0.831
0.967 0.743 0.600
0.967 0.757 0.100
0.244 0.655 0.321
0.244 0.845 0.821
0.246 0.205 0.569
0.246 0.295 0.069
0.754 0.705 0.931
0.754 0.795 0.431
0.756 0.155 0.179
0.756 0.345 0.679
0.071 0.525 0.289
0.071 0.975 0.789
0.135 0.065 0.632
0.135 0.435 0.132
0.179 0.106 0.492
0.179 0.394 0.992
0.240 0.528 0.578
0.240 0.972 0.078
0.251 0.523 0.814
0.251 0.977 0.314
0.253 0.546 0.402
0.253 0.954 0.902
0.410 0.530 0.278
0.410 0.970 0.778
0.443 0.087 0.579
0.443 0.413 0.079
0.557 0.587 0.921
0.557 0.913 0.421
0.590 0.030 0.222
0.590 0.470 0.722
0.747 0.046 0.098
0.747 0.454 0.598
0.749 0.023 0.686
0.749 0.477 0.186
0.760 0.028 0.922
0.760 0.472 0.422
0.821 0.606 0.008
0.821 0.894 0.508
0.865 0.565 0.868
0.865 0.935 0.368
0.929 0.025 0.211
0.929 0.475 0.711

# 3
LiFeP2O7 PBE with a Hubbard U relaxed; total energy = -6.885 eV/atom; ΔE to the lowest computed polymorph = 76 meV/atom; DFT formation energy = -2451 meV/atom; space-group type = P2_1
1.0
5.153 0.000 0.000
0.000 8.595 0.000
-2.227 0.000 6.444
Li Fe P O
2 2 4 14
direct
0.238 0.000 0.198
0.762 0.500 0.802
0.306 0.638 0.329
0.694 0.138 0.671
0.109 0.296 0.458
0.319 0.692 0.950
0.681 0.192 0.050
0.891 0.796 0.542
0.072 0.784 0.780
0.076 0.791 0.404
0.183 0.554 0.033
0.249 0.454 0.474
0.306 0.155 0.499
0.396 0.804 0.139
0.465 0.152 0.140
0.535 0.652 0.860
0.604 0.304 0.861
0.694 0.655 0.501
0.751 0.954 0.526
0.817 0.054 0.967
0.924 0.291 0.596
0.928 0.284 0.220

# 4
Li3Fe2P3O12 PBE with a Hubbard U relaxed; total energy = -6.778 eV/atom; ΔE to the lowest computed polymorph = 6 meV/atom; DFT formation energy = -2501 meV/atom; space-group type = P1
1.0
8.391 0.000 0.000
-4.191 7.295 0.000
-0.004 -4.851 7.640
Li Fe P O
6 4 6 24
direct
0.000 0.000 0.000
0.062 0.874 0.277
0.404 0.743 0.000
0.478 0.747 0.516
0.655 0.406 0.999
0.814 0.229 0.284
0.090 0.513 0.182
0.386 0.116 0.092
0.590 0.517 0.697
0.883 0.104 0.577
0.191 0.314 0.389
0.271 0.306 0.885
0.484 0.018 0.387
0.693 0.018 0.893
0.772 0.599 0.380
0.986 0.604 0.889
0.118 0.180 0.710
0.194 0.121 0.237
0.202 0.786 0.945
0.225 0.479 0.339
0.237 0.149 0.945
0.256 0.494 0.026
0.266 0.839 0.331
0.350 0.444 0.560
0.476 0.413 0.867
0.528 0.052 0.230
0.533 0.228 0.549
0.566 0.108 0.944
0.580 0.435 0.225
0.597 0.797 0.876
0.604 0.941 0.422
0.720 0.992 0.717
0.730 0.617 0.549
0.860 0.682 0.867
0.866 0.821 0.396
0.890 0.176 0.043
0.906 0.517 0.331
0.931 0.394 0.722
0.943 0.565 0.044
0.985 0.204 0.406

Question: DFT formation energy of number 2 (LiFePO4)?
Answer: -2409 meV/atom

Question: Which value of ΔE to the lowest computed polymorph does entry 2 give?
Answer: 71 meV/atom